[1]
Computed, not measured: crystalline Na6ZnSi6Ge7S6O48 at its relaxed geometry at the PBE level of DFT.

Calculated values
The space group is P1. The size of the total moment comes out at 0.0 μB/cell. The formation energy is -163.8 eV/f.u.

```
Na6ZnSi6Ge7S6O48
1.0
-9.939 13.779 2.743
2.582 -4.784 6.619
17.987 12.396 2.023
Na Zn Si Ge S O
18 3 18 21 18 144
direct
0.688 0.376 0.251
0.997 0.643 0.252
0.997 0.364 0.752
0.495 0.363 0.749
0.191 0.011 0.753
0.687 0.008 0.749
0.998 0.999 0.495
0.505 0.002 0.499
0.007 0.010 0.000
0.501 0.994 0.999
0.332 0.338 0.829
0.830 0.331 0.832
0.333 0.333 0.332
0.834 0.332 0.335
0.172 0.669 0.166
0.664 0.668 0.169
0.176 0.667 0.667
0.671 0.665 0.665
0.333 0.336 0.690
0.828 0.326 0.686
0.834 0.339 0.185
0.149 0.005 0.253
0.857 0.726 0.250
0.497 0.283 0.250
0.145 0.293 0.750
0.647 0.296 0.752
0.498 0.713 0.751
0.356 0.987 0.754
0.860 0.994 0.753
0.473 0.616 0.084
0.186 0.335 0.086
0.022 0.382 0.916
0.168 0.955 0.918
0.663 0.954 0.916
0.811 0.949 0.414
0.166 0.378 0.415
0.665 0.379 0.418
0.023 0.666 0.418
0.524 0.669 0.413
0.003 0.989 0.360
0.505 0.013 0.357
0.012 0.031 0.858
0.507 0.997 0.848
0.995 0.007 0.651
0.501 0.006 0.658
0.009 0.998 0.152
0.497 0.993 0.148
0.333 0.335 0.188
0.322 0.330 0.984
0.834 0.322 0.974
0.337 0.353 0.475
0.832 0.329 0.470
0.161 0.651 0.017
0.655 0.670 0.019
0.161 0.656 0.514
0.666 0.673 0.508
0.161 0.663 0.318
0.668 0.658 0.316
0.170 0.668 0.816
0.671 0.682 0.808
0.642 0.992 0.250
0.355 0.713 0.251
0.002 0.287 0.251
0.999 0.719 0.751
0.480 0.334 0.582
0.981 0.334 0.583
0.186 0.036 0.582
0.685 0.035 0.582
0.333 0.632 0.582
0.834 0.629 0.583
0.978 0.624 0.081
0.333 0.043 0.083
0.833 0.039 0.082
0.687 0.336 0.080
0.313 0.668 0.918
0.808 0.666 0.919
0.521 0.377 0.917
0.311 0.956 0.418
0.103 0.040 0.311
0.602 0.031 0.304
0.411 0.795 0.306
0.926 0.811 0.307
0.479 0.150 0.309
0.989 0.181 0.306
0.104 0.159 0.809
0.605 0.163 0.811
0.480 0.794 0.812
0.986 0.796 0.806
0.423 0.037 0.813
0.924 0.029 0.812
0.396 0.948 0.690
0.895 0.951 0.689
0.077 0.207 0.689
0.580 0.218 0.691
0.019 0.833 0.694
0.528 0.848 0.690
0.394 0.823 0.194
0.903 0.846 0.187
0.018 0.213 0.194
0.521 0.192 0.190
0.082 0.941 0.192
0.587 0.964 0.193
0.442 0.361 0.637
0.945 0.363 0.640
0.237 0.109 0.638
0.735 0.105 0.639
0.315 0.522 0.636
0.822 0.526 0.639
0.431 0.493 0.144
0.943 0.520 0.138
0.317 0.119 0.139
0.815 0.115 0.137
0.252 0.373 0.145
0.737 0.366 0.138
0.223 0.287 0.025
0.731 0.305 0.027
0.413 0.528 0.022
0.920 0.535 0.027
0.352 0.156 0.028
0.847 0.155 0.026
0.228 0.152 0.527
0.729 0.154 0.528
0.348 0.549 0.526
0.849 0.546 0.528
0.421 0.301 0.527
0.925 0.308 0.529
0.271 0.696 0.974
0.767 0.695 0.974
0.084 0.459 0.977
0.581 0.457 0.973
0.154 0.829 0.978
0.647 0.833 0.976
0.272 0.843 0.474
0.771 0.830 0.477
0.151 0.465 0.477
0.644 0.462 0.478
0.088 0.711 0.478
0.582 0.715 0.476
0.061 0.622 0.356
0.566 0.627 0.355
0.255 0.882 0.362
0.744 0.866 0.356
0.192 0.516 0.356
0.687 0.491 0.354
0.066 0.503 0.855
0.562 0.488 0.862
0.186 0.871 0.856
0.685 0.869 0.856
0.256 0.631 0.862
0.752 0.628 0.863
0.015 0.844 0.414
0.505 0.839 0.404
0.399 0.970 0.413
0.910 0.977 0.407
0.077 0.188 0.408
0.576 0.180 0.412
0.009 0.180 0.913
0.512 0.197 0.914
0.075 0.963 0.911
0.573 0.974 0.911
0.400 0.831 0.914
0.898 0.822 0.914
0.488 0.167 0.585
0.990 0.167 0.585
0.094 0.014 0.586
0.594 0.022 0.585
0.415 0.812 0.585
0.920 0.814 0.586
0.488 0.825 0.093
0.985 0.804 0.084
0.416 0.025 0.089
0.914 0.024 0.086
0.084 0.155 0.095
0.596 0.173 0.083
0.345 0.160 0.747
0.851 0.173 0.748
0.238 0.307 0.744
0.742 0.313 0.746
0.417 0.514 0.746
0.922 0.537 0.743
0.348 0.535 0.246
0.844 0.522 0.245
0.409 0.302 0.242
0.924 0.314 0.245
0.245 0.182 0.242
0.731 0.156 0.244
0.321 0.503 0.922
0.816 0.499 0.926
0.433 0.366 0.924
0.924 0.370 0.924
0.260 0.157 0.926
0.752 0.154 0.924
0.320 0.137 0.426
0.819 0.146 0.425
0.254 0.353 0.425
0.753 0.358 0.426
0.425 0.486 0.424
0.926 0.487 0.427
0.180 0.521 0.077
0.680 0.503 0.072
0.070 0.645 0.076
0.575 0.638 0.078
0.254 0.862 0.077
0.751 0.854 0.075
0.179 0.853 0.576
0.676 0.852 0.576
0.251 0.654 0.574
0.753 0.650 0.577
0.074 0.498 0.578
0.571 0.498 0.575
0.157 0.817 0.260
0.648 0.829 0.254
0.266 0.699 0.255
0.756 0.702 0.255
0.085 0.473 0.254
0.589 0.478 0.256
0.146 0.485 0.758
0.647 0.485 0.762
0.083 0.704 0.753
0.591 0.701 0.757
0.255 0.811 0.759
0.760 0.819 0.756
```

=====

[2]
Computed, not measured: crystalline AlSiNi2 at its relaxed geometry at the PBE level of DFT.

Calculated values
The space group is P2_1. The formation energy is -2.3 eV/f.u.

```
AlSiNi2
1.0
4.580 0.000 0.000
0.000 4.530 0.000
0.000 0.151 4.554
Al Si Ni
2 2 4
direct
0.650 0.095 0.348
0.150 0.905 0.652
0.345 0.601 0.158
0.845 0.399 0.842
0.356 0.403 0.657
0.856 0.597 0.343
0.649 0.888 0.860
0.149 0.112 0.140
```

=====

[3]
Computed, not measured: crystalline KAlB4H16 at its relaxed geometry at the PBE level of DFT.

Calculated values
The space group is Fddd. The size of the total moment comes out at 0.0 μB/cell. The formation energy is -7.0 eV/f.u.

```
KAlB4H16
1.0
0.327 8.353 0.510
7.875 -2.762 -0.712
-4.603 -2.326 -7.278
K Al B H
2 2 8 32
direct
0.375 0.125 0.250
0.625 0.875 0.750
0.125 0.375 0.750
0.875 0.625 0.250
0.758 0.644 0.445
0.699 0.313 0.055
0.856 0.742 0.055
0.187 0.801 0.445
0.242 0.356 0.555
0.301 0.687 0.945
0.144 0.258 0.945
0.813 0.199 0.555
0.748 0.730 0.354
0.876 0.394 0.146
0.770 0.752 0.146
0.106 0.624 0.354
0.252 0.270 0.646
0.124 0.606 0.854
0.230 0.248 0.854
0.894 0.376 0.646
0.846 0.766 0.600
0.665 0.246 0.900
0.734 0.654 0.900
0.254 0.835 0.600
0.154 0.234 0.400
0.335 0.754 0.100
0.266 0.346 0.100
0.746 0.165 0.400
0.850 0.555 0.423
0.631 0.427 0.077
0.945 0.650 0.077
0.073 0.869 0.423
0.150 0.445 0.577
0.369 0.573 0.923
0.055 0.350 0.923
0.927 0.131 0.577
0.595 0.530 0.387
0.643 0.208 0.113
0.970 0.905 0.113
0.292 0.857 0.387
0.405 0.470 0.613
0.357 0.792 0.887
0.030 0.095 0.887
0.708 0.143 0.613
```

=====

[4]
Computed, not measured: crystalline Ba4MgTl8O16 at its relaxed geometry at the PBE level of DFT.

Calculated values
The energy above the lowest structure with this stoichiometry comes out at 2.69 kJ per mole of atoms. The space group is Pm. The size of the total moment comes out at 0.1 μB/cell. The formation energy is -48.2 eV/f.u.

```
Ba4MgTl8O16
1.0
-6.105 -9.106 0.373
4.569 -3.613 11.013
-2.591 1.805 1.667
Ba Mg Tl O
4 1 8 16
direct
0.264 0.328 0.750
0.266 0.871 0.250
0.732 0.133 0.750
0.772 0.656 0.250
0.025 0.449 0.750
0.122 0.645 0.750
0.068 0.113 0.750
0.447 0.624 0.250
0.428 0.104 0.250
0.590 0.888 0.750
0.558 0.395 0.750
0.932 0.899 0.250
0.864 0.360 0.250
0.021 0.740 0.250
0.090 0.938 0.750
0.093 0.421 0.250
0.210 0.158 0.250
0.329 0.701 0.750
0.397 0.982 0.750
0.419 0.438 0.250
0.476 0.217 0.750
0.554 0.779 0.250
0.585 0.571 0.750
0.618 0.017 0.250
0.677 0.312 0.250
0.798 0.842 0.750
0.852 0.493 0.750
0.914 0.077 0.250
0.961 0.277 0.750
```

=====

[5]
Computed, not measured: crystalline MoC at its relaxed geometry at the PBE level of DFT.

Calculated values
The energy above the lowest structure with this stoichiometry comes out at 56.27 kJ per mole of atoms. The space group is F-43m. The size of the total moment comes out at 0.0 μB/cell. The formation energy is 1.0 eV/f.u.

```
MoC
1.0
0.000 2.349 2.349
2.349 0.000 2.349
2.349 2.349 0.000
Mo C
1 1
direct
0.000 0.000 0.000
0.250 0.250 0.250
```

=====

Q: What is the formula in the second record?
A: AlSiNi2

=====

Q: What is the formula in the second record?
A: AlSiNi2